# ZnBiF5

An optimized crystal structure of ZnBiF5 (GGA-PBE, the Materials Project database).

```
ZnBiF5
1.0
3.405 4.683 0.000
-3.405 4.683 0.000
0.000 4.032 7.594
F Zn Bi
10 2 2
Direct
0.140 0.860 0.750
0.860 0.140 0.250
0.787 0.673 0.147
0.285 0.665 0.435
0.327 0.213 0.353
0.665 0.285 0.935
0.715 0.335 0.565
0.213 0.327 0.853
0.673 0.787 0.647
0.335 0.715 0.065
0.492 0.508 0.750
0.508 0.492 0.250
0.000 0.000 0.000
0.000 0.000 0.500
```

Results
VASP energy ... -4.39 eV per atom
Formation energy ... -2621 meV/atom


# ZnBiF5

An optimized crystal structure of ZnBiF5 (GGA-PBE, the Materials Project database).

```
ZnBiF5
1.0
10.776 0.000 0.000
0.000 5.569 0.000
0.000 2.753 8.133
F Zn Bi
20 4 4
Direct
0.628 0.738 0.681
0.897 0.363 0.989
0.574 0.838 0.208
0.372 0.262 0.319
0.074 0.162 0.292
0.892 0.394 0.611
0.392 0.606 0.889
0.608 0.394 0.111
0.128 0.262 0.819
0.188 0.823 0.665
0.872 0.738 0.181
0.108 0.606 0.389
0.397 0.637 0.511
0.426 0.162 0.792
0.926 0.838 0.708
0.603 0.363 0.489
0.688 0.177 0.835
0.812 0.177 0.335
0.103 0.637 0.011
0.312 0.823 0.165
0.993 0.498 0.777
0.507 0.498 0.277
0.007 0.502 0.223
0.493 0.502 0.723
0.242 0.909 0.392
0.758 0.091 0.608
0.742 0.091 0.108
0.258 0.909 0.892
```

Results
VASP energy ... -4.40 eV per atom
Formation energy ... -2626 meV/atom


# Mg6FeBi

An optimized crystal structure of Mg6FeBi (GGA-PBE, the Materials Project database).

```
Mg6FeBi
1.0
4.911 0.000 0.000
0.000 6.398 0.000
0.000 0.000 10.845
Bi Mg Fe
2 12 2
Direct
0.500 0.500 0.833
0.500 0.000 0.333
0.000 0.500 0.659
0.500 0.753 0.584
0.000 0.775 0.914
0.000 0.725 0.414
0.500 0.747 0.084
0.000 0.500 0.177
0.000 0.225 0.914
0.000 0.000 0.159
0.000 0.275 0.414
0.000 0.000 0.677
0.500 0.247 0.584
0.500 0.253 0.084
0.500 0.000 0.835
0.500 0.500 0.335
```

Results
VASP energy ... -2.61 eV per atom
Formation energy ... 139 meV/atom